This record from Materials Project describes an optimized crystal structure of Cs3Tl2Br9. The functional is meta-GGA r2SCAN.

Unit cell a=7.8646 b=7.8647 c=9.6254 alpha=90.00 beta=90.00 gamma=120.00
Atoms (fractional coordinates):
Cs (0.3333, 0.6667, 0.6630)
Cs (0.6667, 0.3333, 0.3370)
Cs (0.0000, 0.0000, 0.0000)
Tl (0.3333, 0.6667, 0.1916)
Tl (0.6667, 0.3333, 0.8084)
Br (0.5000, 0.0000, 0.0000)
Br (0.0000, 0.5000, 0.0000)
Br (0.5000, 0.5000, 0.0000)
Br (0.1639, 0.8361, 0.3290)
Br (0.8361, 0.1639, 0.6710)
Br (0.1639, 0.3278, 0.3290)
Br (0.8361, 0.6722, 0.6710)
Br (0.6722, 0.8361, 0.3290)
Br (0.3278, 0.1639, 0.6710)

total DFT energy (no corrections): -22.77 eV per atom
formation enthalpy at 0 K: -1.272 eV per atom
energy above the most stable polymorph in this dataset: 0.0096 eV per atom
volume: 516 Å³/cell
size of the total moment: 0.00 μB/cell
space-group type: P-3m1, No. 164

=====

This record from Materials Project describes an optimized crystal structure of In2Ir. The functional is meta-GGA r2SCAN.

Unit cell a=5.3570 b=5.6433 c=9.4300 alpha=82.25 beta=73.50 gamma=61.66
Atoms (fractional coordinates):
In (0.0295, 0.9411, 0.2500)
In (0.7205, 0.5589, 0.2500)
In (0.9705, 0.0589, 0.7500)
In (0.2795, 0.4411, 0.7500)
In (0.5393, 0.7500, 0.9214)
In (0.7107, 0.7500, 0.5786)
In (0.4607, 0.2500, 0.0786)
In (0.2893, 0.2500, 0.4214)
Ir (0.0058, 0.2500, 0.9883)
Ir (0.7442, 0.2500, 0.5117)
Ir (0.9942, 0.7500, 0.0117)
Ir (0.2558, 0.7500, 0.4883)

total DFT energy (no corrections): -32.77 eV per atom
formation enthalpy at 0 K: -0.261 eV per atom
volume: 241 Å³/cell
size of the total moment: 0.00 μB/cell
space-group type: Fddd, No. 70

=====

This record from Materials Project describes an optimized crystal structure of RbNbCl6. The functional is meta-GGA r2SCAN.

Unit cell a=6.8106 b=6.8106 c=12.2077 alpha=79.62 beta=79.62 gamma=54.89
Atoms (fractional coordinates):
Rb (0.8934, 0.1066, 0.7500)
Rb (0.1066, 0.8934, 0.2500)
Nb (0.5000, 0.0000, 0.5000)
Nb (0.0000, 0.5000, 0.0000)
Cl (0.4749, 0.6841, 0.6055)
Cl (0.5251, 0.3159, 0.3945)
Cl (0.3159, 0.5251, 0.8945)
Cl (0.6841, 0.4749, 0.1055)
Cl (0.3713, 0.2005, 0.6647)
Cl (0.6287, 0.7995, 0.3353)
Cl (0.7995, 0.6287, 0.8353)
Cl (0.2005, 0.3713, 0.1647)
Cl (0.7942, 0.9085, 0.0366)
Cl (0.2058, 0.0915, 0.9634)
Cl (0.0915, 0.2058, 0.4634)
Cl (0.9085, 0.7942, 0.5366)

total DFT energy (no corrections): -11.08 eV per atom
formation enthalpy at 0 K: -1.631 eV per atom
volume: 454 Å³/cell
size of the total moment: 0.00 μB/cell
space-group type: C2/c, No. 15

=====

This record from Materials Project describes an optimized crystal structure of NdBiO4. The functional is meta-GGA r2SCAN.

Unit cell a=7.0183 b=7.0183 c=6.7746 alpha=131.29 beta=134.61 gamma=71.65
Atoms (fractional coordinates):
Nd (0.3867, 0.1367, 0.2500)
Nd (0.6133, 0.8633, 0.7500)
Bi (0.8479, 0.5979, 0.2500)
Bi (0.1521, 0.4021, 0.7500)
O (0.7169, 0.5505, 0.8351)
O (0.7847, 0.1183, 0.3351)
O (0.4657, 0.2361, 0.7569)
O (0.0208, 0.2912, 0.2569)
O (0.9792, 0.7088, 0.7431)
O (0.5343, 0.7639, 0.2431)
O (0.2153, 0.8817, 0.6649)
O (0.2831, 0.4495, 0.1649)

total DFT energy (no corrections): -20.79 eV per atom
formation enthalpy at 0 K: -2.155 eV per atom
volume: 171 Å³/cell
size of the total moment: 0.00 μB/cell
space-group type: C2/c, No. 15

=====

This record from Materials Project describes an optimized crystal structure of Al2O3. The functional is meta-GGA r2SCAN.

Unit cell a=5.5041 b=8.2404 c=5.4186 alpha=90.00 beta=58.60 gamma=90.00
Atoms (fractional coordinates):
Al (0.9484, 0.0430, 0.2839)
Al (0.9484, 0.4570, 0.7839)
Al (0.5341, 0.3441, 0.7044)
Al (0.4659, 0.8441, 0.7956)
Al (0.5341, 0.1559, 0.2044)
Al (0.4659, 0.6559, 0.2956)
Al (0.0516, 0.5430, 0.2161)
Al (0.0516, 0.9570, 0.7161)
O (0.1744, 0.1094, 0.4318)
O (0.3201, 0.7050, 0.0807)
O (0.1744, 0.3906, 0.9318)
O (0.2501, 0.4798, 0.4222)
O (0.7499, 0.9798, 0.0778)
O (0.3201, 0.7950, 0.5807)
O (0.6799, 0.2050, 0.4193)
O (0.2501, 0.0202, 0.9222)
O (0.7499, 0.5202, 0.5778)
O (0.8256, 0.6094, 0.0682)
O (0.6799, 0.2950, 0.9193)
O (0.8256, 0.8906, 0.5682)

total DFT energy (no corrections): -9.52 eV per atom
formation enthalpy at 0 K: -3.243 eV per atom
volume: 210 Å³/cell
size of the total moment: 0.00 μB/cell
space-group type: P2_1/c, No. 14

=====

This record from Materials Project describes an optimized crystal structure of SmHoRu2. The functional is meta-GGA r2SCAN.

Unit cell a=4.8208 b=4.8208 c=4.8208 alpha=60.00 beta=60.00 gamma=60.00
Atoms (fractional coordinates):
Sm (0.7500, 0.7500, 0.7500)
Ho (0.2500, 0.2500, 0.2500)
Ru (0.0000, 0.0000, 0.0000)
Ru (0.5000, 0.5000, 0.5000)

total DFT energy (no corrections): -28.66 eV per atom
formation enthalpy at 0 K: -0.289 eV per atom
volume: 79 Å³/cell
size of the total moment: 0.00 μB/cell
space-group type: Fm-3m, No. 225

=====

> Among the records above, which one has the lowest volume?

SmHoRu2

=====

> size of the total moment of number 2 (In2Ir)?

0.00 μB/cell